Entry 1:
First-principles (PBE-GGA) data for a relaxed Dy3Ge2Rh2 crystal, as listed in the Materials Project.

a = 5.6040 Å, b = 7.8824 Å, c = 13.2393 Å
α = 90.00°, β = 90.00°, γ = 90.00°
Space group Pbcm (No. 57)
Inequivalent atoms, fractional coordinates:
Dy (0.1333, 0.2482, 0.2500) x4
Dy (0.3526, 0.6069, 0.1005) x8
Ge (0.1591, 0.2500, 0.0000) x4
Ge (0.3697, 0.6079, 0.7500) x4
Rh (0.1246, 0.5385, 0.5937) x8

Output
Final energy   -177.1 eV per cell
Energy relative to the elements   -0.9250 eV/atom
Crystal system   orthorhombic
Theoretical density   9.52 g cm⁻³

---

Entry 2:
First-principles (PBE-GGA) data for a relaxed Tm12Co5Bi crystal, as listed in the Materials Project.

a = 9.2829 Å, b = 9.2993 Å, c = 9.7906 Å
α = 90.00°, β = 90.00°, γ = 90.00°
Space group Immm (No. 71)
Inequivalent atoms, fractional coordinates:
Tm (0.0000, 0.1922, 0.1887) x8
Tm (0.1826, 0.2155, 0.5000) x8
Tm (0.1965, 0.5000, 0.2888) x8
Co (0.0000, 0.0000, 0.3880) x4
Co (0.0000, 0.5000, 0.5000) x2
Co (0.1252, 0.0000, 0.0000) x4
Bi (0.0000, 0.5000, 0.0000) x2

Output
Final energy   -197.7 eV per cell
Energy relative to the elements   -0.3172 eV/atom
Crystal system   orthorhombic
Theoretical density   9.94 g cm⁻³

---

Entry 3:
First-principles (PBE-GGA) data for a relaxed Ho2Pd2Pb crystal, as listed in the Materials Project.

a = 7.9479 Å, b = 7.9479 Å, c = 3.5716 Å
α = 90.00°, β = 90.00°, γ = 90.00°
Space group P4/mbm (No. 127)
Inequivalent atoms, fractional coordinates:
Ho (0.1703, 0.3297, 0.0000) x4
Pd (0.1256, 0.6256, 0.5000) x4
Pb (0.0000, 0.0000, 0.5000) x2

Output
Final energy   -54.9 eV per cell
Energy relative to the elements   -0.8441 eV/atom
Crystal system   tetragonal
Theoretical density   11.04 g cm⁻³

---

Entry 4:
First-principles (PBE-GGA) data for a relaxed TmZr crystal, as listed in the Materials Project.

a = 3.3854 Å, b = 3.3854 Å, c = 5.3179 Å
α = 90.00°, β = 90.00°, γ = 120.00°
Space group P-6m2 (No. 187)
Inequivalent atoms, fractional coordinates:
Tm (0.0000, 0.0000, 0.0000) x1
Zr (0.6667, 0.3333, 0.5000) x1

Output
Final energy   -12.9 eV per cell
Energy relative to the elements   0.0607 eV/atom
Crystal system   hexagonal
Theoretical density   8.18 g cm⁻³

---

Entry 5:
First-principles (PBE-GGA) data for a relaxed RbTaTiO5 crystal, as listed in the Materials Project.

a = 6.5466 Å, b = 3.8414 Å, c = 19.3264 Å
α = 90.00°, β = 90.00°, γ = 90.00°
Space group Pnma (No. 62)
Inequivalent atoms, fractional coordinates:
Rb (0.2035, 0.2500, 0.1959) x4
Ta (0.2308, 0.2500, 0.8953) x4
Ti (0.1856, 0.2500, 0.5337) x4
O (0.0352, 0.2500, 0.6148) x4
O (0.0647, 0.7500, 0.0723) x4
O (0.1503, 0.7500, 0.5088) x4
O (0.1720, 0.2500, 0.8036) x4
O (0.2379, 0.7500, 0.9229) x4

Output
Final energy   -271.7 eV per cell
Energy relative to the elements   -3.2355 eV/atom
Crystal system   orthorhombic
Theoretical density   5.39 g cm⁻³

---

Entry 6:
First-principles (PBE-GGA) data for a relaxed CuH10C2N2Cl4 crystal, as listed in the Materials Project.

a = 8.2559 Å, b = 7.4535 Å, c = 7.2214 Å
α = 90.00°, β = 90.33°, γ = 90.00°
Space group P2_1/c (No. 14)
Inequivalent atoms, fractional coordinates:
Cu (0.0000, 0.0000, 0.0000) x2
H (0.1813, 0.0518, 0.4294) x4
H (0.2510, 0.5142, 0.1409) x4
H (0.2608, 0.6560, 0.9613) x4
H (0.4348, 0.1950, 0.4897) x4
H (0.4451, 0.0435, 0.2991) x4
C (0.4335, 0.0526, 0.4507) x4
N (0.2716, 0.5213, 0.9987) x4
Cl (0.0400, 0.2057, 0.2324) x4
Cl (0.2789, 0.5420, 0.4695) x4

Output
Final energy   -177.9 eV per cell
Energy relative to the elements   -0.5711 eV/atom
Crystal system   monoclinic
Theoretical density   2.00 g cm⁻³

---

Entry 7:
First-principles (PBE-GGA) data for a relaxed TbCu5Sn crystal, as listed in the Materials Project.

a = 8.2270 Å, b = 5.0179 Å, c = 10.5602 Å
α = 90.00°, β = 90.00°, γ = 90.00°
Space group Pnma (No. 62)
Inequivalent atoms, fractional coordinates:
Tb (0.2468, 0.2500, 0.0629) x4
Cu (0.0588, 0.7500, 0.1022) x4
Cu (0.0651, 0.0013, 0.3132) x8
Cu (0.0870, 0.2500, 0.5180) x4
Cu (0.1862, 0.2500, 0.7455) x4
Sn (0.1405, 0.7500, 0.8610) x4

Output
Final energy   -123.8 eV per cell
Energy relative to the elements   -0.2588 eV/atom
Crystal system   orthorhombic
Theoretical density   9.07 g cm⁻³

---

Entry 8:
First-principles (PBE-GGA) data for a relaxed BaMn2N2 crystal, as listed in the Materials Project.

a = 6.2445 Å, b = 6.2445 Å, c = 9.6601 Å
α = 90.00°, β = 90.00°, γ = 90.00°
Space group I4/mcm (No. 140)
Inequivalent atoms, fractional coordinates:
Ba (0.0000, 0.0000, 0.2500) x4
Mn (0.1355, 0.3645, 0.0000) x8
N (0.1602, 0.3398, 0.5000) x8

Output
Final energy   -152.6 eV per cell
Energy relative to the elements   -0.3910 eV/atom
Crystal system   tetragonal
Theoretical density   4.85 g cm⁻³

---

Entry 9:
First-principles (PBE-GGA) data for a relaxed RbPdC4Br crystal, as listed in the Materials Project.

a = 7.4448 Å, b = 7.4448 Å, c = 10.7799 Å
α = 90.00°, β = 90.00°, γ = 90.00°
Space group I4/mmm (No. 139)
Inequivalent atoms, fractional coordinates:
Rb (0.0000, 0.5000, 0.2500) x4
Pd (0.0000, 0.0000, 0.0000) x2
Pd (0.0000, 0.0000, 0.5000) x2
C (0.1904, 0.1904, 0.0000) x8
C (0.1906, 0.1906, 0.5000) x8
Br (0.0000, 0.0000, 0.2568) x4

Output
Final energy   -159.4 eV per cell
Energy relative to the elements   0.6191 eV/atom
Crystal system   tetragonal
Theoretical density   3.56 g cm⁻³

---

Entry 10:
First-principles (PBE-GGA) data for a relaxed Sr5Sb3 crystal, as listed in the Materials Project.

a = 13.5168 Å, b = 10.1037 Å, c = 8.8233 Å
α = 90.00°, β = 90.00°, γ = 90.00°
Space group Pnma (No. 62)
Inequivalent atoms, fractional coordinates:
Sr (0.0037, 0.2500, 0.0356) x4
Sr (0.0837, 0.0394, 0.6866) x8
Sr (0.2020, 0.7500, 0.3439) x4
Sr (0.2244, 0.2500, 0.3185) x4
Sb (0.0136, 0.7500, 0.5763) x4
Sb (0.1719, 0.5100, 0.0568) x8

Output
Final energy   -114.9 eV per cell
Energy relative to the elements   -1.0594 eV/atom
Crystal system   orthorhombic
Theoretical density   4.43 g cm⁻³

---

Entry 11:
First-principles (PBE-GGA) data for a relaxed SnPb2N2 crystal, as listed in the Materials Project.

a = 5.7520 Å, b = 11.4197 Å, c = 7.7624 Å
α = 90.00°, β = 90.00°, γ = 90.00°
Space group Cmme (No. 67)
Inequivalent atoms, fractional coordinates:
Sn (0.0000, 0.2500, 0.2039) x4
Pb (0.0000, 0.0960, 0.6702) x8
N (0.0000, 0.1056, 0.3746) x8

Output
Final energy   -102.3 eV per cell
Energy relative to the elements   0.3633 eV/atom
Crystal system   orthorhombic
Theoretical density   7.31 g cm⁻³

---

Entry 12:
First-principles (PBE-GGA) data for a relaxed Sr2MgTlCuO5 crystal, as listed in the Materials Project.

a = 3.6210 Å, b = 3.7145 Å, c = 11.5159 Å
α = 90.00°, β = 90.00°, γ = 90.00°
Space group Pmm2 (No. 25)
Inequivalent atoms, fractional coordinates:
Sr (0.0000, 0.0000, 0.0000) x1
Sr (0.0000, 0.0000, 0.3256) x1
Mg (0.0000, 0.5000, 0.7869) x1
Tl (0.5000, 0.5000, 0.5852) x1
Cu (0.5000, 0.5000, 0.1736) x1
O (0.0000, 0.0000, 0.7041) x1
O (0.0000, 0.5000, 0.1499) x1
O (0.5000, 0.0000, 0.1608) x1
O (0.5000, 0.5000, 0.3801) x1
O (0.5000, 0.5000, 0.8922) x1

Output
Final energy   -52.6 eV per cell
Energy relative to the elements   -1.9861 eV/atom
Crystal system   orthorhombic
Theoretical density   5.87 g cm⁻³